1.
A plane-wave DFT calculation with r2SCAN was carried out for a relaxed structure of SnRh.

Geometry as POSCAR:
```
SnRh
1.0
-4.2835 1.4364 2.4944
-2.6829 -3.6124 -2.5270
1.0427 -3.3942 3.7451
Sn Rh
4 4
Cartesian
-0.9093 -3.2387 2.0108
-4.9765 -4.6795 3.1189
-3.0605 -2.4380 -0.2204
-2.9010 -0.7841 2.5157
-3.1409 -4.7681 1.1410
-0.8598 -0.8085 0.5388
-2.8242 -3.2567 3.9140
-5.0226 -2.3070 1.8310
```

---

2.
A plane-wave DFT calculation with r2SCAN was carried out for a relaxed structure of Sr3Sn13Rh4.

Geometry as POSCAR:
```
Sr3Sn13Rh4
1.0
9.8703 0.0000 0.0000
0.0000 9.8703 0.0000
0.0000 0.0000 9.8703
Sn Rh Sr
26 8 6
Cartesian
8.3549 6.9080 9.8703
2.9623 0.0000 1.5154
0.0000 0.0000 0.0000
8.3549 2.9623 0.0000
1.5154 6.9080 0.0000
4.9352 7.8975 6.4506
6.4506 4.9352 1.9728
0.0000 1.5154 2.9623
0.0000 1.5154 6.9080
4.9352 7.8975 3.4197
3.4197 4.9351 1.9728
6.9080 9.8703 8.3549
2.9623 0.0000 8.3549
4.9352 4.9352 4.9351
4.9351 1.9728 3.4197
1.9728 6.4506 4.9352
4.9351 1.9728 6.4506
6.9080 9.8703 1.5154
3.4197 4.9351 7.8975
1.5154 2.9623 0.0000
7.8975 6.4506 4.9352
7.8975 3.4197 4.9351
9.8703 8.3549 2.9623
9.8703 8.3549 6.9080
1.9728 3.4197 4.9351
6.4506 4.9352 7.8975
2.4676 7.4027 7.4027
2.4676 7.4027 2.4676
7.4027 7.4027 2.4676
2.4676 2.4676 2.4676
7.4027 2.4676 2.4676
7.4027 7.4027 7.4027
2.4676 2.4676 7.4027
7.4027 2.4676 7.4027
2.4676 0.0000 4.9351
4.9352 2.4676 0.0000
7.4027 0.0000 4.9352
0.0000 4.9352 2.4676
9.8703 4.9352 7.4027
4.9352 7.4028 0.0000
```

---

3.
A plane-wave DFT calculation with r2SCAN was carried out for a relaxed structure of TbSnRh.

Geometry as POSCAR:
```
TbSnRh
1.0
1.7359 3.0596 -6.7186
-2.6464 4.3847 5.5933
3.5483 0.6149 1.1968
Rh Sn Tb
3 3 3
Cartesian
0.2751 3.5013 -2.6146
1.7741 0.3075 0.5984
-1.1857 3.9430 1.4893
1.2808 2.2575 -4.9572
-0.2387 1.9517 -0.2950
-1.9526 3.2352 4.1269
0.6973 2.0916 2.8743
2.4805 1.5524 -2.1354
1.2341 4.7227 -0.0690
```

---

4.
A plane-wave DFT calculation with r2SCAN was carried out for a relaxed structure of TiSnRh.

Geometry as POSCAR:
```
TiSnRh
1.0
0.0000 3.0748 3.0748
3.0748 0.0000 3.0748
3.0748 3.0748 0.0000
Ti Rh Sn
1 1 1
Cartesian
0.0000 0.0000 0.0000
1.5374 1.5374 1.5374
3.0748 3.0748 3.0748
```

---

5.
A plane-wave DFT calculation with r2SCAN was carried out for a relaxed structure of TmSnRh2.

Geometry as POSCAR:
```
TmSnRh2
1.0
0.7282 0.0255 4.5771
-3.1072 1.9495 2.8329
-2.5938 -2.6536 2.7769
Rh Tm Sn
2 1 1
Cartesian
-2.4874 -0.3394 5.0955
-4.9718 -0.6784 10.1849
-3.7296 -0.5089 7.6402
-1.2432 -0.1696 2.5467
```

---

6.
A plane-wave DFT calculation with r2SCAN was carried out for a relaxed structure of TmSnRh.

Geometry as POSCAR:
```
TmSnRh
1.0
7.5380 0.0000 0.0000
-3.7690 6.5281 0.0000
0.0000 0.0000 3.7109
Tm Rh Sn
3 3 3
Cartesian
-1.5190 2.6310 0.0000
2.2500 3.8971 0.0000
3.0380 0.0000 0.0000
3.7690 2.1760 1.8555
0.0000 4.3521 1.8555
0.0000 0.0000 0.0000
5.5333 0.0000 1.8555
1.0024 1.7361 1.8555
-2.7666 4.7920 1.8555
```

---

7.
A plane-wave DFT calculation with r2SCAN was carried out for a relaxed structure of USnRh.

Geometry as POSCAR:
```
USnRh
1.0
3.6950 -6.4001 0.0000
3.6950 6.4001 0.0000
0.0000 0.0000 4.0569
Rh Sn U
3 3 3
Cartesian
3.6950 2.1333 0.0000
0.0001 0.0001 2.0284
3.6950 -2.1333 0.0000
5.5553 -0.0003 0.0000
4.6126 -4.8107 0.0000
4.6122 4.8109 0.0000
3.1390 0.0000 2.0284
5.8205 2.7185 2.0284
5.8205 -2.7184 2.0284
```

---

8.
A plane-wave DFT calculation with r2SCAN was carried out for a relaxed structure of U2SnRh2.

Geometry as POSCAR:
```
U2SnRh2
1.0
7.6018 -0.0007 0.0000
-0.0007 7.6018 0.0000
0.0000 0.0000 3.6504
Rh U Sn
4 4 2
Cartesian
4.8323 1.0311 0.0000
6.5700 4.8317 0.0000
2.7688 6.5701 0.0000
1.0311 2.7694 0.0000
1.3115 5.1128 1.8252
6.2896 2.4883 1.8252
5.1130 6.2887 1.8252
2.4881 1.3124 1.8252
0.0000 0.0000 0.0000
3.8006 3.8006 0.0000
```

---

9.
A plane-wave DFT calculation with r2SCAN was carried out for a relaxed structure of Y2Sn5Rh3.

Geometry as POSCAR:
```
Y2Sn5Rh3
1.0
2.2100 -13.2161 0.0000
2.2100 13.2161 0.0000
0.0000 0.0000 7.2151
Sn Y Rh
10 4 6
Cartesian
2.2100 -5.4237 3.9658
2.2100 5.4237 0.3582
2.2100 11.9604 2.8920
2.2100 5.5588 3.4479
2.2100 10.0513 5.2752
2.2100 2.5476 4.4181
2.2100 -2.5476 0.8105
2.2100 -5.5588 7.0555
2.2100 -11.9604 6.4996
2.2100 -10.0513 1.6676
2.2100 -0.6355 5.3260
2.2100 8.6720 1.8518
2.2100 -8.6720 5.4594
2.2100 0.6355 1.7184
2.2100 -11.8831 3.7339
2.2100 -2.8086 3.4863
2.2100 7.3421 5.5163
2.2100 11.8831 0.1263
2.2100 2.8086 7.0939
2.2100 -7.3421 1.9088
```

---

10.
A plane-wave DFT calculation with r2SCAN was carried out for a relaxed structure of YSnRh2.

Geometry as POSCAR:
```
YSnRh2
1.0
0.0000 3.3067 3.3067
3.3067 0.0000 3.3067
3.3067 3.3067 0.0000
Rh Sn Y
2 1 1
Cartesian
0.0000 0.0000 0.0000
3.3067 3.3067 3.3067
1.6533 1.6533 1.6533
4.9600 4.9600 4.9600
```

---

11.
A plane-wave DFT calculation with r2SCAN was carried out for a relaxed structure of YbSnRh.

Geometry as POSCAR:
```
YbSnRh
1.0
-1.9555 -1.3826 -7.1364
-1.1260 -5.2331 5.2925
-3.3658 1.3855 0.6539
Rh Yb Sn
3 3 3
Cartesian
-3.0854 -3.2569 1.4765
-3.3619 -1.9734 -2.6665
0.0000 0.0000 0.0000
-0.4536 -2.1082 2.1321
-1.8401 -3.9505 -1.1011
-0.7878 -0.5570 -2.8750
-3.1181 -0.3219 -4.9105
-2.5029 -1.0677 -0.1637
-2.5093 -3.1479 4.2111
```

---

12.
A plane-wave DFT calculation with r2SCAN was carried out for a relaxed structure of YbSnRh2.

Geometry as POSCAR:
```
YbSnRh2
1.0
0.0000 3.2677 3.2677
3.2677 0.0000 3.2677
3.2677 3.2677 0.0000
Rh Yb Sn
2 1 1
Cartesian
4.9016 4.9016 4.9016
1.6339 1.6339 1.6339
0.0000 0.0000 0.0000
3.2677 3.2677 3.2677
```

---

13.
A plane-wave DFT calculation with r2SCAN was carried out for a relaxed structure of ZnSnRh2.

Geometry as POSCAR:
```
ZnSnRh2
1.0
0.0000 3.1076 3.1076
3.1076 0.0000 3.1076
3.1076 3.1076 0.0000
Rh Zn Sn
2 1 1
Cartesian
4.6614 4.6614 4.6614
1.5538 1.5538 1.5538
0.0000 0.0000 0.0000
3.1076 3.1076 3.1076
```

---

14.
A plane-wave DFT calculation with r2SCAN was carried out for a relaxed structure of ZrSnRh.

Geometry as POSCAR:
```
ZrSnRh
1.0
3.6731 -6.3620 0.0000
3.6731 6.3620 0.0000
0.0000 0.0000 3.6723
Sn Rh Zr
3 3 3
Cartesian
0.9810 -1.6992 0.0000
0.9810 1.6992 0.0000
5.3842 0.0000 0.0000
3.6731 2.1207 0.0000
0.0000 0.0000 1.8362
3.6731 -2.1207 0.0000
2.2127 3.8326 1.8362
2.9207 0.0000 1.8362
2.2127 -3.8326 1.8362
```

---

15.
A plane-wave DFT calculation with r2SCAN was carried out for a relaxed structure of ZrSnRh.

Geometry as POSCAR:
```
ZrSnRh
1.0
7.3615 0.0000 0.0000
-3.6807 6.3752 0.0000
0.0000 0.0000 7.2957
Sn Zr Rh
6 6 6
Cartesian
-0.9926 1.7192 0.0000
2.6881 4.6560 3.6478
1.9852 0.0000 3.6478
1.9852 0.0000 0.0000
-0.9926 1.7192 3.6478
2.6881 4.6560 0.0000
1.5555 2.4792 1.8239
1.3693 2.5867 5.4717
-2.1253 3.8960 5.4717
5.0501 3.7885 1.8239
4.4366 0.1075 1.8239
0.7559 6.2677 5.4717
0.0000 4.2501 3.3879
0.0000 0.0000 5.4717
3.6807 2.1251 3.9078
3.6807 2.1251 7.0357
0.0000 4.2501 0.2600
0.0000 0.0000 1.8239
```

---

16.
A plane-wave DFT calculation with r2SCAN was carried out for a relaxed structure of Sr8Rh5.

Geometry as POSCAR:
```
Sr8Rh5
1.0
-4.2332 4.4262 -3.8958
-3.6824 -5.7301 -2.5090
-4.6053 0.5131 5.5872
Sr Rh
8 5
Cartesian
-5.4367 0.0568 2.5756
-4.9773 -3.0506 -1.4541
-7.2695 -2.7952 1.3268
-9.3765 -0.5922 -0.6122
-7.0843 -0.8476 -3.3931
-5.2515 2.0045 -2.1444
-3.1445 -0.1986 -0.2053
-7.5436 2.2599 0.6365
-4.4193 2.4697 0.8457
-4.1438 -2.6085 1.5391
-3.9578 -0.6519 -3.2024
0.0000 0.0000 0.0000
-6.2605 -0.3954 -0.4088
```

---

17.
A plane-wave DFT calculation with r2SCAN was carried out for a relaxed structure of TaRh2.

Geometry as POSCAR:
```
TaRh2
1.0
0.0000 -4.0140 0.0000
-5.4765 0.0000 0.0000
0.0000 0.0000 -8.2201
Rh Ta
8 4
Cartesian
-4.9972 -1.0035 -6.0154
-3.5451 -3.0105 -4.7163
-2.2589 -1.0035 -6.3148
-0.4794 -3.0105 -2.2046
-0.8069 -3.0105 -7.6139
-3.2176 -3.0105 -1.9054
-1.9313 -1.0035 -3.5030
-4.6696 -1.0035 -0.6071
-3.6360 -3.0105 -7.3757
-4.5786 -1.0035 -3.2656
-1.8404 -1.0035 -0.8444
-0.8978 -3.0105 -4.9545
```

---

18.
A plane-wave DFT calculation with r2SCAN was carried out for a relaxed structure of Tb3Rh.

Geometry as POSCAR:
```
Tb3Rh
1.0
6.2069 0.7122 1.0689
-0.2247 -5.2576 4.8077
1.9156 -6.3719 -6.8786
Tb Rh
12 4
Cartesian
5.6961 -3.8088 1.7859
6.7290 -9.7158 -1.5773
2.7021 -6.0826 0.5930
5.9052 -7.1944 -4.1424
2.2018 -7.1085 -2.7879
4.4427 -1.3367 -0.8531
6.0196 -7.3560 0.9701
5.1958 -4.8347 -1.5950
1.8783 -3.5613 -1.9721
1.1688 -1.2015 0.5753
3.4551 -9.5806 -0.1488
1.9926 -3.7229 3.1404
3.1399 -3.2803 0.5844
7.2599 -4.7341 -3.5787
0.6379 -6.1832 2.5768
4.7580 -7.6370 -1.5864
```

---

19.
A plane-wave DFT calculation with r2SCAN was carried out for a relaxed structure of Tb5Rh3.

Geometry as POSCAR:
```
Tb5Rh3
1.0
-5.6358 5.9130 -0.7556
1.2502 -5.2847 -6.1485
-4.4040 -3.8853 2.4440
Rh Tb
6 10
Cartesian
-2.5505 -6.0954 -1.8685
-3.7411 -0.5932 -3.5454
-6.2391 2.8383 -2.5916
-2.0938 -3.9027 -5.8382
-5.0485 -2.6639 -0.9148
-6.6958 0.6456 1.3781
-5.7976 0.9728 -4.7617
-2.1932 -0.8150 -1.1086
-5.5424 0.2376 -1.3314
-4.0832 -1.8153 -6.1048
-4.7063 -1.4417 1.6448
-3.3404 2.1802 -2.5534
-1.0451 -1.5521 -4.3507
-3.2471 -3.4947 -3.1287
-2.9920 -4.2299 0.3016
-6.5965 -2.4420 -3.3515
```

---

20.
A plane-wave DFT calculation with r2SCAN was carried out for a relaxed structure of Tb7Rh3.

Geometry as POSCAR:
```
Tb7Rh3
1.0
-4.1382 -1.8150 -4.2417
7.1029 -0.4532 -6.7353
-2.1117 -7.8779 5.4313
Tb Rh
14 6
Cartesian
-0.6932 -2.4670 -0.5657
-2.5771 -9.1477 -2.1019
-2.0211 -7.4197 2.8492
0.0516 -4.6736 -6.7584
-0.9502 -6.2408 -0.5827
-1.6222 -2.4554 -4.1919
1.5155 -7.6931 -5.0116
1.8404 -1.6945 -5.0732
1.0447 -4.6630 -3.0264
-1.7816 -6.1806 -4.1475
-4.4570 -6.0101 -1.6111
2.4442 -7.7040 -1.3851
2.8435 -2.7399 -8.4269
3.7210 -4.8339 -5.5648
3.6948 -5.5897 -2.8547
-0.1203 -7.9025 -2.6707
-2.2735 -4.3085 -2.1082
4.6069 -2.1887 -5.1998
1.5406 -1.9936 -2.2919
-3.1850 -7.7075 0.2356
```

---

21.
A plane-wave DFT calculation with r2SCAN was carried out for a relaxed structure of TbYRh2.

Geometry as POSCAR:
```
TbYRh2
1.0
0.0000 3.4197 3.4197
3.4197 0.0000 3.4197
3.4197 3.4197 0.0000
Tb Y Rh
1 1 2
Cartesian
1.7099 1.7099 1.7099
5.1296 5.1296 5.1296
0.0000 0.0000 0.0000
3.4197 3.4197 3.4197
```

---

| no. | E_tot (hartree per atom) |
| --- | --- |
| 1 | -0.9149 |
| 2 | -0.8706 |
| 3 | -1.0170 |
| 4 | -0.7804 |
| 5 | -1.0262 |
| 6 | -1.0647 |
| 7 | -1.6024 |
| 8 | -1.7355 |
| 9 | -0.8978 |
| 10 | -0.8871 |
| 11 | -1.0822 |
| 12 | -1.0397 |
| 13 | -0.7715 |
| 14 | -0.9078 |
| 15 | -0.9085 |
| 16 | -0.6868 |
| 17 | -1.2089 |
| 18 | -1.1029 |
| 19 | -1.0774 |
| 20 | -1.0934 |
| 21 | -0.9499 |